Computed, not measured: a relaxed structure of Cs3Sb5O14 at the GGA-PBE level of DFT.

CIF file:
```
data_Cs3Sb5O14
_symmetry_space_group_name_H-M 'P b a m'
_symmetry_Int_Tables_number 55
_cell_length_a 7.472
_cell_length_b 25.907
_cell_length_c 7.462
_cell_angle_alpha 90.00
_cell_angle_beta 90.00
_cell_angle_gamma 90.00
loop_
_symmetry_equiv_pos_as_xyz
'x,y,z'
'-x,-y,-z'
'-x,-y,z'
'x,y,-z'
'x+1/2,-y+1/2,-z'
'-x+1/2,y+1/2,z'
'-x+1/2,y+1/2,-z'
'x+1/2,-y+1/2,z'
loop_
_atom_site_label
_atom_site_type_symbol
_atom_site_fract_x
_atom_site_fract_y
_atom_site_fract_z
_atom_site_occupancy
Cs1 Cs 0.133 0.119 0.000 1
Cs2 Cs 0.141 0.211 0.500 1
Cs3 Cs 0.237 0.483 0.000 1
Sb1 Sb 0.080 0.945 0.500 1
Sb2 Sb 0.096 0.559 0.500 1
Sb3 Sb 0.120 0.748 0.000 1
Sb4 Sb 0.140 0.350 0.243 1
O1 O 0.000 0.000 0.324 1
O2 O 0.035 0.585 0.266 1
O3 O 0.072 0.694 0.191 1
O4 O 0.089 0.336 0.500 1
O5 O 0.127 0.224 0.000 1
O6 O 0.158 0.484 0.500 1
O7 O 0.161 0.379 0.000 1
O8 O 0.161 0.902 0.299 1
O9 O 0.162 0.088 0.500 1
O10 O 0.171 0.797 0.206 1
```

Values from the calculation:
For the MP2020-corrected energy, the calculation gives -6.1686 eV/atom. The calculation puts the formation energy at -1959 meV per atom. For the calculated total energy, the calculation gives -504.362 eV per cell.

=====

Computed, not measured: a relaxed structure of CsSi2SbO7 at the GGA-PBE level of DFT.

CIF file:
```
data_CsSi2SbO7
_symmetry_space_group_name_H-M 'P n a 21'
_symmetry_Int_Tables_number 33
_cell_length_a 21.341
_cell_length_b 13.829
_cell_length_c 7.240
_cell_angle_alpha 90.00
_cell_angle_beta 90.00
_cell_angle_gamma 90.00
loop_
_symmetry_equiv_pos_as_xyz
'x,y,z'
'-x,-y,z+1/2'
'-x+1/2,y+1/2,z+1/2'
'x+1/2,-y+1/2,z'
loop_
_atom_site_label
_atom_site_type_symbol
_atom_site_fract_x
_atom_site_fract_y
_atom_site_fract_z
_atom_site_occupancy
Cs1 Cs 0.008 0.145 0.000 1
Cs2 Cs 0.164 0.366 0.985 1
Cs3 Cs 0.169 0.658 0.497 1
Si1 Si 0.072 0.119 0.495 1
Si2 Si 0.073 0.850 0.994 1
Si3 Si 0.084 0.347 0.525 1
Si4 Si 0.099 0.628 0.022 1
Si5 Si 0.231 0.360 0.473 1
Si6 Si 0.249 0.638 0.973 1
Sb1 Sb 0.000 0.496 0.269 1
Sb2 Sb 0.167 0.987 0.736 1
Sb3 Sb 0.169 0.984 0.237 1
O1 O 0.003 0.890 0.937 1
O2 O 0.010 0.555 0.516 1
O3 O 0.051 0.377 0.331 1
O4 O 0.051 0.387 0.712 1
O5 O 0.066 0.734 0.034 1
O6 O 0.080 0.573 0.830 1
O7 O 0.081 0.564 0.204 1
O8 O 0.083 0.047 0.671 1
O9 O 0.086 0.230 0.554 1
O10 O 0.093 0.902 0.187 1
O11 O 0.113 0.093 0.313 1
O12 O 0.121 0.867 0.819 1
O13 O 0.157 0.385 0.527 1
O14 O 0.163 0.045 0.987 1
O15 O 0.173 0.925 0.488 1
O16 O 0.175 0.641 0.031 1
O17 O 0.210 0.108 0.654 1
O18 O 0.226 0.876 0.156 1
O19 O 0.233 0.247 0.404 1
O20 O 0.245 0.065 0.296 1
O21 O 0.249 0.429 0.298 1
```

Values from the calculation:
For the MP2020-corrected energy, the calculation gives -7.3235 eV/atom. The calculation puts the formation energy at -2732 meV per atom. For the calculated total energy, the calculation gives -908.996 eV per cell.

=====

Computed, not measured: a relaxed structure of Cs12Sn2Sb6O at the GGA-PBE level of DFT.

CIF file:
```
data_Cs12Sn2Sb6O
_symmetry_space_group_name_H-M 'P -3 m 1'
_symmetry_Int_Tables_number 164
_symmetry_space_group_name_Hall '-P 3 2"'
_cell_length_a 13.2912
_cell_length_b 13.2912
_cell_length_c 6.5175
_cell_angle_alpha 90.00
_cell_angle_beta 90.00
_cell_angle_gamma 120.00
loop_
_atom_site_label
_atom_site_type_symbol
_atom_site_fract_x
_atom_site_fract_y
_atom_site_fract_z
_atom_site_occupancy
Cs1 Cs 0.0929 0.5464 0.2505 1
Cs2 Cs 0.1148 0.2296 0.2284 1
Sn1 Sn 0.3333 0.6667 0.7507 1
Sb1 Sb 0.2126 0.4253 0.7500 1
O1 O 0.0000 0.0000 0.0000 1
```

Values from the calculation:
For the MP2020-corrected energy, the calculation gives -2.8322 eV/atom. The calculation puts the formation energy at -523 meV per atom. For the calculated total energy, the calculation gives -58.788 eV per cell.

=====

Computed, not measured: a relaxed structure of CsUSbO6 at the GGA-PBE level of DFT.

CIF file:
```
data_CsUSbO6
_symmetry_space_group_name_H-M 'I m m a'
_symmetry_Int_Tables_number 74
_symmetry_space_group_name_Hall '-I 2b 2'
_cell_length_a 7.416
_cell_length_b 7.960
_cell_length_c 10.922
_cell_angle_alpha 90.00
_cell_angle_beta 90.00
_cell_angle_gamma 90.00
loop_
_atom_site_label
_atom_site_type_symbol
_atom_site_fract_x
_atom_site_fract_y
_atom_site_fract_z
_atom_site_occupancy
Cs1 Cs 0.000 0.250 0.122 1
U1 U 0.000 0.000 0.500 1
Sb1 Sb 0.250 0.250 0.750 1
O1 O 0.000 0.250 0.432 1
O2 O 0.000 0.250 0.818 1
O3 O 0.194 0.069 0.626 1
```

Values from the calculation:
For the MP2020-corrected energy, the calculation gives -7.8940 eV/atom. The calculation puts the formation energy at -2783 meV per atom. For the calculated total energy, the calculation gives -267.697 eV per cell.

=====

Computed, not measured: a relaxed structure of Cs3ScO3 at the GGA-PBE level of DFT.

CIF file:
```
data_Cs3ScO3
_symmetry_space_group_name_H-M 'C 1 2/m 1'
_symmetry_Int_Tables_number 12
_cell_length_a 7.939
_cell_length_b 12.614
_cell_length_c 7.445
_cell_angle_alpha 90.00
_cell_angle_beta 103.11
_cell_angle_gamma 90.00
loop_
_symmetry_equiv_pos_as_xyz
'x,y,z'
'-x,-y,-z'
'-x,y,-z'
'x,-y,z'
'x+1/2,y+1/2,z'
'-x+1/2,-y+1/2,-z'
'-x+1/2,y+1/2,-z'
'x+1/2,-y+1/2,z'
loop_
_atom_site_label
_atom_site_type_symbol
_atom_site_fract_x
_atom_site_fract_y
_atom_site_fract_z
_atom_site_occupancy
Cs1 Cs 0.000 0.203 0.000 1
Cs2 Cs 0.000 0.261 0.500 1
Cs3 Cs 0.135 0.500 0.843 1
Sc1 Sc 0.165 0.000 0.647 1
O1 O 0.094 0.000 0.361 1
O2 O 0.213 0.371 0.238 1
```

Values from the calculation:
The energy above the most stable polymorph in this dataset is 5 meV/atom. For the MP2020-corrected energy, the calculation gives -5.6745 eV/atom. The calculation puts the formation energy at -2266 meV per atom. For the calculated total energy, the calculation gives -150.642 eV per cell.

=====

Computed, not measured: a relaxed structure of Cs3ScO3 at the GGA-PBE level of DFT.

CIF file:
```
data_Cs3ScO3
_symmetry_space_group_name_H-M 'P 1 21/c 1'
_symmetry_Int_Tables_number 14
_cell_length_a 8.211
_cell_length_b 7.415
_cell_length_c 11.923
_cell_angle_alpha 90.00
_cell_angle_beta 96.29
_cell_angle_gamma 90.00
loop_
_symmetry_equiv_pos_as_xyz
'x,y,z'
'-x,-y,-z'
'-x,y+1/2,-z+1/2'
'x,-y+1/2,z+1/2'
loop_
_atom_site_label
_atom_site_type_symbol
_atom_site_fract_x
_atom_site_fract_y
_atom_site_fract_z
_atom_site_occupancy
Cs1 Cs 0.048 0.120 0.156 1
Cs2 Cs 0.349 0.168 0.927 1
Cs3 Cs 0.376 0.678 0.806 1
Sc1 Sc 0.151 0.581 0.065 1
O1 O 0.096 0.054 0.415 1
O2 O 0.241 0.674 0.542 1
O3 O 0.287 0.051 0.684 1
```

Values from the calculation:
The energy above the most stable polymorph in this dataset is 0 meV/atom. For the MP2020-corrected energy, the calculation gives -5.6799 eV/atom. The calculation puts the formation energy at -2271 meV per atom. For the calculated total energy, the calculation gives -150.792 eV per cell.

=====

Computed, not measured: a relaxed structure of Cs3ScO3 at the GGA-PBE level of DFT.

CIF file:
```
data_Cs3ScO3
_symmetry_space_group_name_H-M 'P 1 21/c 1'
_symmetry_Int_Tables_number 14
_cell_length_a 8.435
_cell_length_b 13.392
_cell_length_c 7.465
_cell_angle_alpha 90.00
_cell_angle_beta 115.78
_cell_angle_gamma 90.00
loop_
_symmetry_equiv_pos_as_xyz
'x,y,z'
'-x,-y,-z'
'-x,y+1/2,-z+1/2'
'x,-y+1/2,z+1/2'
loop_
_atom_site_label
_atom_site_type_symbol
_atom_site_fract_x
_atom_site_fract_y
_atom_site_fract_z
_atom_site_occupancy
Cs1 Cs 0.011 0.160 0.429 1
Cs2 Cs 0.219 0.061 0.005 1
Cs3 Cs 0.428 0.691 0.631 1
Sc1 Sc 0.348 0.548 0.012 1
O1 O 0.154 0.614 0.785 1
O2 O 0.315 0.566 0.255 1
O3 O 0.410 0.095 0.460 1
```

Values from the calculation:
The energy above the most stable polymorph in this dataset is 14 meV/atom. For the MP2020-corrected energy, the calculation gives -5.6659 eV/atom. The calculation puts the formation energy at -2257 meV per atom. For the calculated total energy, the calculation gives -150.402 eV per cell.

=====

Computed, not measured: a relaxed structure of CsScSe2O6 at the GGA-PBE level of DFT.

CIF file:
```
data_CsScSe2O6
_symmetry_space_group_name_H-M 'P n m a'
_symmetry_Int_Tables_number 62
_cell_length_a 17.775
_cell_length_b 5.713
_cell_length_c 7.252
_cell_angle_alpha 90.00
_cell_angle_beta 90.00
_cell_angle_gamma 90.00
loop_
_symmetry_equiv_pos_as_xyz
'x,y,z'
'-x,-y,-z'
'-x+1/2,-y,z+1/2'
'x+1/2,y,-z+1/2'
'x+1/2,-y+1/2,-z+1/2'
'-x+1/2,y+1/2,z+1/2'
'-x,y+1/2,-z'
'x,-y+1/2,z'
loop_
_atom_site_label
_atom_site_type_symbol
_atom_site_fract_x
_atom_site_fract_y
_atom_site_fract_z
_atom_site_occupancy
Cs1 Cs 0.103 0.250 0.129 1
Sc1 Sc 0.130 0.750 0.647 1
Se1 Se 0.033 0.250 0.606 1
Se2 Se 0.248 0.750 0.079 1
O1 O 0.052 0.014 0.749 1
O2 O 0.065 0.750 0.392 1
O3 O 0.186 0.750 0.896 1
O4 O 0.196 0.015 0.524 1
```

Values from the calculation:
For the MP2020-corrected energy, the calculation gives -6.5597 eV/atom. The calculation puts the formation energy at -2169 meV per atom. For the calculated total energy, the calculation gives -245.900 eV per cell.

=====

Computed, not measured: a relaxed structure of CsSeO4 at the GGA-PBE level of DFT.

CIF file:
```
data_CsSeO4
_symmetry_space_group_name_H-M 'I 41/a m d'
_symmetry_Int_Tables_number 141
_cell_length_a 5.960
_cell_length_b 5.960
_cell_length_c 14.773
_cell_angle_alpha 90.00
_cell_angle_beta 90.00
_cell_angle_gamma 90.00
loop_
_symmetry_equiv_pos_as_xyz
'x,y,z'
'-x,-y,-z'
'-y+1/4,x+3/4,z+1/4'
'y+1/4,-x+3/4,-z+1/4'
'-x+1/2,-y,z+1/2'
'x+1/2,y,-z+1/2'
'y+1/4,-x+1/4,z+3/4'
'-y+1/4,x+1/4,-z+3/4'
'x,-y,-z'
'-x,y,z'
'-y+1/4,-x+1/4,-z+3/4'
'y+1/4,x+1/4,z+3/4'
'-x+1/2,y,-z+1/2'
'x+1/2,-y,z+1/2'
'y+1/4,x+3/4,-z+1/4'
'-y+1/4,-x+3/4,z+1/4'
'x+1/2,y+1/2,z+1/2'
'-x+1/2,-y+1/2,-z+1/2'
'-y+3/4,x+1/4,z+3/4'
'y+3/4,-x+1/4,-z+3/4'
'-x,-y+1/2,z'
'x,y+1/2,-z'
'y+3/4,-x+3/4,z+1/4'
'-y+3/4,x+3/4,-z+1/4'
'x+1/2,-y+1/2,-z+1/2'
'-x+1/2,y+1/2,z+1/2'
'-y+3/4,-x+3/4,-z+1/4'
'y+3/4,x+3/4,z+1/4'
'-x,y+1/2,-z'
'x,-y+1/2,z'
'y+3/4,x+1/4,-z+3/4'
'-y+3/4,-x+1/4,z+3/4'
loop_
_atom_site_label
_atom_site_type_symbol
_atom_site_fract_x
_atom_site_fract_y
_atom_site_fract_z
_atom_site_occupancy
Cs1 Cs 0.000 0.250 0.375 1
Se1 Se 0.000 0.250 0.875 1
O1 O 0.000 0.018 0.811 1
```

Values from the calculation:
The energy above the most stable polymorph in this dataset is 0 meV/atom. For the MP2020-corrected energy, the calculation gives -5.3423 eV/atom. The calculation puts the formation energy at -1312 meV per atom. For the calculated total energy, the calculation gives -117.222 eV per cell.

=====

> Which of these has the highest calculated total energy?

Cs12Sn2Sb6O